No. 1
DFT (PBE-GGA) results for a relaxed structure of Nd6F17.

Results
energy relative to the elements: -4316 meV/atom
E_tot: -6.634 eV/atom

The structure in POSCAR format:
```
Nd6F17
1.0
3.541 -6.134 0.000
3.541 6.134 0.000
0.000 0.000 21.811
Nd F
18 51
Direct
0.999 0.655 0.250
0.002 0.658 0.584
0.000 0.657 0.917
0.340 0.000 0.084
0.657 0.000 0.250
0.656 0.001 0.584
0.342 0.345 0.251
0.343 0.343 0.583
0.345 0.344 0.917
0.656 0.656 0.084
0.659 0.660 0.417
0.657 0.656 0.750
0.344 0.001 0.416
0.344 0.000 0.750
0.655 0.998 0.917
0.999 0.343 0.083
0.000 0.344 0.417
0.000 0.341 0.751
0.995 0.999 0.082
0.060 0.689 0.026
0.060 0.692 0.359
0.312 0.937 0.195
0.311 0.941 0.527
0.309 0.938 0.861
0.059 0.370 0.193
0.062 0.372 0.527
0.063 0.375 0.861
0.336 0.669 0.104
0.333 0.664 0.437
0.004 0.005 0.415
0.999 0.002 0.583
0.001 0.996 0.748
0.331 0.667 0.770
0.333 0.667 0.273
0.334 0.667 0.606
0.333 0.666 0.940
0.308 0.368 0.026
0.311 0.371 0.693
0.629 0.940 0.359
0.632 0.940 0.693
0.368 0.309 0.140
0.368 0.312 0.471
0.367 0.310 0.807
0.628 0.691 0.194
0.625 0.688 0.528
0.630 0.689 0.860
0.371 0.069 0.308
0.362 0.053 0.640
0.381 0.062 0.974
0.681 0.619 0.307
0.698 0.629 0.641
0.691 0.638 0.973
0.666 0.333 0.061
0.667 0.334 0.395
0.667 0.333 0.728
0.667 0.332 0.228
0.665 0.333 0.561
0.668 0.335 0.895
0.944 0.632 0.805
0.943 0.633 0.140
0.941 0.632 0.473
0.688 0.056 0.138
0.690 0.057 0.473
0.691 0.059 0.807
0.947 0.309 0.307
0.938 0.319 0.641
0.931 0.302 0.974
0.998 0.997 0.250
0.003 0.001 0.917
```


No. 2
DFT (PBE-GGA) results for a relaxed structure of NdOF.

Results
energy relative to the elements: -4103 meV/atom
E_tot: -7.597 eV/atom
maximum piezoelectric response: 1.0 C/m²

The structure in POSCAR format:
```
NdOF
1.0
-2.348 -1.614 2.805
-3.884 0.940 0.139
-2.752 -2.716 -1.017
Nd O F
1 1 1
Direct
0.000 0.000 0.000
0.250 0.250 0.250
0.750 0.750 0.750
```


Among the records above, which one has the highest E_tot?
Nd6F17


Number 1 is which compound?
Nd6F17


Which formula does entry 2 have?
NdOF